Record 1
The following is a GGA-PBE calculation of crystalline ZnH2O2 at its relaxed geometry, from the Materials Project.

Cell: 3.349 8.138 12.589 Å, 108.84 97.22 90.10°
Element x y z (fractional)
O 0.877 0.940 0.879
O 0.777 0.627 0.654
O 0.576 0.729 0.124
O 0.250 0.734 0.470
O 0.778 0.261 0.531
O 0.136 0.375 0.342
O 0.451 0.605 0.877
O 0.570 0.385 0.113
O 0.795 0.036 0.657
O 0.456 0.275 0.883
O 0.023 0.063 0.118
O 0.122 0.971 0.344
Zn 0.932 0.145 0.819
Zn 0.241 0.229 0.436
Zn 0.104 0.315 0.178
Zn 0.800 0.794 0.562
Zn 0.932 0.681 0.824
Zn 0.107 0.870 0.173
H 0.838 0.961 0.351
H 0.598 0.950 0.892
H 0.486 0.608 0.647
H 0.449 0.479 0.872
H 0.537 0.693 0.040
H 0.577 0.513 0.128
H 0.188 0.500 0.384
H 0.801 0.385 0.578
H 0.498 0.310 0.968
H 0.990 0.023 0.034
H 0.799 0.118 0.614
H 0.223 0.808 0.420

Calculated values
Energy relative to the elements: -1447 meV per atom

---

Record 2
The following is a GGA-PBE calculation of crystalline ZnH2O2 at its relaxed geometry, from the Materials Project.

Cell: 4.872 5.063 8.752 Å, 90.00 90.00 90.00°
Element x y z (fractional)
H 0.531 0.858 0.153
H 0.243 0.825 0.658
H 0.469 0.358 0.347
H 0.743 0.675 0.342
H 0.969 0.142 0.653
H 0.031 0.642 0.847
H 0.257 0.175 0.158
H 0.757 0.325 0.842
O 0.379 0.888 0.077
O 0.688 0.184 0.771
O 0.312 0.684 0.729
O 0.812 0.816 0.271
O 0.621 0.388 0.423
O 0.121 0.112 0.577
O 0.879 0.612 0.923
O 0.188 0.316 0.229
Zn 0.068 0.642 0.123
Zn 0.432 0.358 0.623
Zn 0.932 0.142 0.377
Zn 0.568 0.858 0.877

Calculated values
Energy relative to the elements: -1487 meV per atom
Piezoelectric modulus e_max: 0.22 C/m2

---

Record 3
The following is a GGA-PBE calculation of crystalline ZnH2O2 at its relaxed geometry, from the Materials Project.

Cell: 3.322 8.151 12.426 Å, 107.53 97.37 89.99°
Element x y z (fractional)
O 0.448 0.275 0.876
O 0.996 0.065 0.123
O 0.798 0.031 0.656
O 0.787 0.265 0.533
O 0.572 0.729 0.119
O 0.915 0.943 0.885
O 0.566 0.397 0.127
O 0.161 0.388 0.355
O 0.259 0.744 0.469
O 0.146 0.970 0.345
O 0.791 0.624 0.655
O 0.452 0.608 0.882
Zn 0.098 0.321 0.183
Zn 0.110 0.860 0.182
Zn 0.925 0.132 0.819
Zn 0.812 0.796 0.563
Zn 0.249 0.206 0.441
Zn 0.933 0.695 0.829
H 0.880 0.412 0.369
H 0.811 0.387 0.582
H 0.810 0.116 0.614
H 0.486 0.308 0.960
H 0.529 0.689 0.034
H 0.444 0.480 0.871
H 0.245 0.622 0.420
H 0.197 0.887 0.389
H 0.974 0.987 0.969
H 0.699 0.051 0.105
H 0.565 0.520 0.131
H 0.496 0.603 0.647

Calculated values
Energy relative to the elements: -1451 meV per atom